No. 1
# Na2LiH6N3 PBE optimized geometry
# - total magnetization (μB/f.u.) = 0.00
# - calculated formation energy (meV/atom) = -488
data_Na2LiH6N3
_chemical_formula_sum 'Na8 Li4 H24 N12'
_cell_length_a 6.361
_cell_length_b 6.361
_cell_length_c 11.299
_cell_angle_alpha 90.00
_cell_angle_beta 90.00
_cell_angle_gamma 90.00
_space_group_name_H-M_alt 'P 1'
_space_group_IT_number 1
loop_
_space_group_symop_operation_xyz
'x,y,z'
loop_
_atom_site_label
_atom_site_type_symbol
_atom_site_fract_x
_atom_site_fract_y
_atom_site_fract_z
_atom_site_occupancy
Na1 Na 0.000 0.000 0.000 1
Na2 Na 0.000 0.000 0.500 1
Na3 Na 0.000 0.500 0.138 1
Na4 Na 0.000 0.500 0.862 1
Na5 Na 0.500 0.000 0.362 1
Na6 Na 0.500 0.000 0.638 1
Na7 Na 0.500 0.500 0.250 1
Na8 Na 0.500 0.500 0.750 1
Li1 Li 0.354 0.355 0.500 1
Li2 Li 0.355 0.646 0.000 1
Li3 Li 0.645 0.354 0.000 1
Li4 Li 0.646 0.645 0.500 1
H1 H 0.078 0.347 0.365 1
H2 H 0.078 0.347 0.635 1
H3 H 0.165 0.832 0.221 1
H4 H 0.165 0.832 0.779 1
H5 H 0.168 0.165 0.279 1
H6 H 0.168 0.165 0.721 1
H7 H 0.248 0.697 0.428 1
H8 H 0.248 0.697 0.572 1
H9 H 0.303 0.248 0.072 1
H10 H 0.303 0.248 0.928 1
H11 H 0.347 0.922 0.135 1
H12 H 0.347 0.922 0.865 1
H13 H 0.653 0.078 0.135 1
H14 H 0.653 0.078 0.865 1
H15 H 0.697 0.752 0.072 1
H16 H 0.697 0.752 0.928 1
H17 H 0.752 0.303 0.428 1
H18 H 0.752 0.303 0.572 1
H19 H 0.832 0.835 0.279 1
H20 H 0.832 0.835 0.721 1
H21 H 0.835 0.168 0.221 1
H22 H 0.835 0.168 0.779 1
H23 H 0.922 0.653 0.365 1
H24 H 0.922 0.653 0.635 1
N1 N 0.214 0.270 0.343 1
N2 N 0.214 0.270 0.657 1
N3 N 0.270 0.786 0.157 1
N4 N 0.270 0.786 0.843 1
N5 N 0.274 0.342 0.000 1
N6 N 0.342 0.726 0.500 1
N7 N 0.658 0.274 0.500 1
N8 N 0.726 0.658 0.000 1
N9 N 0.730 0.214 0.157 1
N10 N 0.730 0.214 0.843 1
N11 N 0.786 0.730 0.343 1
N12 N 0.786 0.730 0.657 1

***

No. 2
# HoMgTi2O6 PBE optimized geometry
# - total magnetization (μB/f.u.) = 1.00
# - calculated formation energy (meV/atom) = -3475
data_HoMgTi2O6
_chemical_formula_sum 'Ho2 Mg2 Ti4 O12'
_cell_length_a 7.613
_cell_length_b 5.486
_cell_length_c 5.244
_cell_angle_alpha 90.00
_cell_angle_beta 90.00
_cell_angle_gamma 90.00
_space_group_name_H-M_alt 'P 1'
_space_group_IT_number 1
loop_
_space_group_symop_operation_xyz
'x,y,z'
loop_
_atom_site_label
_atom_site_type_symbol
_atom_site_fract_x
_atom_site_fract_y
_atom_site_fract_z
_atom_site_occupancy
Ho1 Ho 0.000 0.181 0.000 1
Ho2 Ho 0.500 0.819 0.500 1
Mg1 Mg 0.000 0.700 0.472 1
Mg2 Mg 0.500 0.300 0.972 1
Ti1 Ti 0.250 0.258 0.485 1
Ti2 Ti 0.250 0.742 0.985 1
Ti3 Ti 0.750 0.258 0.485 1
Ti4 Ti 0.750 0.742 0.985 1
O1 O 0.000 0.305 0.592 1
O2 O 0.000 0.788 0.856 1
O3 O 0.188 0.941 0.298 1
O4 O 0.189 0.448 0.177 1
O5 O 0.311 0.552 0.677 1
O6 O 0.312 0.059 0.798 1
O7 O 0.500 0.212 0.356 1
O8 O 0.500 0.695 0.092 1
O9 O 0.688 0.059 0.798 1
O10 O 0.689 0.552 0.677 1
O11 O 0.811 0.448 0.177 1
O12 O 0.812 0.941 0.298 1

***

No. 3
# Ac3Lu PBE optimized geometry
# - total magnetization (μB/f.u.) = 0.12
# - calculated formation energy (meV/atom) = 75
data_Ac3Lu
_chemical_formula_sum 'Ac6 Lu2'
_cell_length_a 7.819
_cell_length_b 7.819
_cell_length_c 6.307
_cell_angle_alpha 90.00
_cell_angle_beta 90.00
_cell_angle_gamma 120.00
_space_group_name_H-M_alt 'P 1'
_space_group_IT_number 1
loop_
_space_group_symop_operation_xyz
'x,y,z'
loop_
_atom_site_label
_atom_site_type_symbol
_atom_site_fract_x
_atom_site_fract_y
_atom_site_fract_z
_atom_site_occupancy
Ac1 Ac 0.170 0.341 0.250 1
Ac2 Ac 0.170 0.830 0.250 1
Ac3 Ac 0.341 0.170 0.750 1
Ac4 Ac 0.659 0.830 0.250 1
Ac5 Ac 0.830 0.170 0.750 1
Ac6 Ac 0.830 0.659 0.750 1
Lu1 Lu 0.333 0.667 0.750 1
Lu2 Lu 0.667 0.333 0.250 1

***

No. 4
# HoS PBE optimized geometry
# - calculated formation energy (meV/atom) = -2222
data_HoS
_chemical_formula_sum 'Ho4 S4'
_cell_length_a 5.492
_cell_length_b 5.492
_cell_length_c 5.492
_cell_angle_alpha 90.00
_cell_angle_beta 90.00
_cell_angle_gamma 90.00
_space_group_name_H-M_alt 'P 1'
_space_group_IT_number 1
loop_
_space_group_symop_operation_xyz
'x,y,z'
loop_
_atom_site_label
_atom_site_type_symbol
_atom_site_fract_x
_atom_site_fract_y
_atom_site_fract_z
_atom_site_occupancy
Ho1 Ho 0.000 0.000 0.000 1
Ho2 Ho 0.000 0.500 0.500 1
Ho3 Ho 0.500 0.000 0.500 1
Ho4 Ho 0.500 0.500 0.000 1
S1 S 0.000 0.000 0.500 1
S2 S 0.000 0.500 0.000 1
S3 S 0.500 0.000 0.000 1
S4 S 0.500 0.500 0.500 1